Record 1
Here is a relaxed MoS2 crystal from the Materials Project database. Energies are from r²SCAN.

Cell and atoms, written as POSCAR:
```
MoS2
1.0
-0.614 -3.063 -0.620
2.980 0.931 0.630
-3.337 -3.604 21.107
Mo S
2 4
Direct
0.667 0.333 0.448
0.333 0.667 0.150
0.333 0.667 0.519
0.667 0.333 0.222
0.333 0.667 0.376
0.667 0.333 0.079
```

Symmetry: No. 164
DFT formation energy (eV/atom): -0.959
Energy (eV/atom): -15.006

Record 2
Here is a relaxed Tm2Al3Si2 crystal from the Materials Project database. Energies are from r²SCAN.

Cell and atoms, written as POSCAR:
```
Tm2Al3Si2
1.0
3.998 0.000 0.000
-1.999 4.908 -0.912
0.000 -0.005 6.525
Tm Al Si
2 3 2
Direct
0.381 0.761 0.677
0.619 0.239 0.323
0.695 0.391 0.868
0.000 0.000 0.000
0.305 0.609 0.132
0.907 0.813 0.360
0.093 0.187 0.640
```

Symmetry: No. 12
DFT formation energy (eV/atom): -0.566
Energy (eV/atom): -15.992

Record 3
Here is a relaxed Ho2MgSe4 crystal from the Materials Project database. Energies are from r²SCAN.

Cell and atoms, written as POSCAR:
```
Ho2MgSe4
1.0
-7.504 -3.109 -1.023
-5.973 4.660 -3.104
-2.833 -1.461 -7.541
Ho Mg Se
4 2 8
Direct
0.125 0.625 0.625
0.625 0.125 0.625
0.625 0.625 0.125
0.625 0.625 0.625
0.250 0.250 0.250
0.000 0.000 0.000
0.861 0.380 0.380
0.380 0.861 0.380
0.380 0.380 0.861
0.380 0.380 0.380
0.389 0.870 0.870
0.870 0.389 0.870
0.870 0.870 0.389
0.870 0.870 0.870
```

Symmetry: No. 227
DFT formation energy (eV/atom): -1.981
Energy (eV/atom): -20.150

Record 4
Here is a relaxed DyGa6 crystal from the Materials Project database. Energies are from r²SCAN.

Cell and atoms, written as POSCAR:
```
DyGa6
1.0
-2.224 3.421 -4.280
-5.246 -2.663 0.598
-2.004 5.098 5.115
Dy Ga
2 12
Direct
0.500 0.000 0.000
0.000 0.500 0.000
0.500 0.500 0.161
0.000 0.000 0.161
0.000 0.000 0.839
0.500 0.500 0.839
0.815 0.685 0.350
0.315 0.815 0.350
0.685 0.185 0.350
0.185 0.315 0.350
0.685 0.815 0.650
0.185 0.685 0.650
0.815 0.315 0.650
0.315 0.185 0.650
```

Symmetry: No. 125
DFT formation energy (eV/atom): -0.351
Energy (eV/atom): -14.728

Record 5
Here is a relaxed Sc2S3 crystal from the Materials Project database. Energies are from r²SCAN.

Cell and atoms, written as POSCAR:
```
Sc2S3
1.0
5.544 3.205 0.003
-5.544 3.205 0.003
0.000 2.130 6.013
Sc S
4 6
Direct
0.667 0.333 0.500
0.333 0.667 0.500
0.000 0.000 0.500
0.500 0.500 0.000
0.911 0.586 0.741
0.586 0.911 0.741
0.262 0.262 0.745
0.089 0.414 0.259
0.738 0.738 0.255
0.414 0.089 0.259
```

Symmetry: No. 12
DFT formation energy (eV/atom): -2.168
Energy (eV/atom): -11.548

Record 6
Here is a relaxed K2MnO4 crystal from the Materials Project database. Energies are from r²SCAN.

Cell and atoms, written as POSCAR:
```
K2MnO4
1.0
-5.254 -0.396 -2.543
-1.279 -6.556 3.662
0.819 5.565 10.243
K Mn O
8 4 16
Direct
0.176 0.663 0.915
0.462 0.512 0.697
0.176 0.837 0.415
0.542 0.011 0.803
0.462 0.988 0.197
0.825 0.163 0.585
0.541 0.489 0.303
0.825 0.337 0.085
0.168 0.229 0.921
0.168 0.271 0.421
0.833 0.729 0.579
0.833 0.771 0.079
0.180 0.015 0.918
0.329 0.317 0.852
0.301 0.197 0.572
0.138 0.792 0.660
0.180 0.485 0.418
0.329 0.183 0.352
0.862 0.292 0.842
0.704 0.698 0.929
0.301 0.303 0.072
0.137 0.708 0.160
0.673 0.817 0.649
0.808 0.514 0.577
0.862 0.208 0.342
0.704 0.802 0.429
0.673 0.683 0.149
0.808 0.986 0.078
```

Symmetry: No. 7
DFT formation energy (eV/atom): -1.829
Energy (eV/atom): -9.059